Here is a relaxed Yb3Se4 crystal from the Materials Project database. Energies are from r2SCAN.

Lattice parameters (Å, degrees): 6.841 6.841 3.981 90.00 90.00 108.49
Sites, in units of the cell vectors:
Se: 0.754 0.754 0.000
Yb: 0.500 0.000 0.000
Se: 0.745 0.255 0.500
Yb: 0.000 0.000 0.500
Yb: 0.000 0.500 0.000
Se: 0.246 0.246 0.000
Se: 0.255 0.745 0.500

Output
- energy (eV per formula unit) = -181.644
- symmetry = Cmmm, No. 65